Record 1
KPSO2: relaxed, GGA-PBE.

Results
The value obtained for the density is 2.07 g/cm³. The magnetic moment is 0.00 μB/cell. The formation energy comes out at -2.105 eV per atom.

Cell and atoms, written as extended XYZ:
```
60
Lattice="-5.793 3.090 4.896 -3.022 -10.500 3.052 9.082 0.431 10.474" Properties=species:S:1:pos:R:3 pbc="T T T"
K -3.075 -8.565 6.213
K 1.960 1.521 10.616
K -0.413 -3.269 12.871
K -0.702 -3.775 3.958
K 2.927 -8.349 13.050
K -1.207 1.440 7.049
K -3.471 -3.408 9.211
K 5.191 -3.501 10.888
K 3.463 0.743 6.204
K -7.684 -7.934 7.043
K -5.454 -3.068 4.909
K 1.233 -4.123 8.338
P -1.601 -6.665 8.914
P 4.498 -0.188 12.542
P 0.302 -4.006 16.337
P 2.595 -2.848 5.118
P -3.685 -6.052 3.488
P -0.546 -1.140 9.748
P -2.566 -6.118 11.704
P -1.665 -1.074 1.532
P 0.358 -6.546 11.185
P -2.612 -0.552 4.330
P -6.832 -4.357 8.146
P 4.578 -2.741 7.369
S -5.157 -6.370 4.738
S 0.887 -0.823 8.452
S -3.494 -4.542 12.403
S -0.776 -2.651 0.787
S 1.850 -5.310 11.455
S -2.508 -1.712 5.902
S -6.123 -5.839 9.206
S 5.465 -1.183 8.150
S -1.703 -5.531 7.324
S 2.986 -1.399 12.271
S -0.573 -5.556 15.528
S 1.856 -1.374 4.067
O -0.134 -6.422 9.617
O -4.087 -0.770 3.629
O -7.540 -4.984 6.797
O 3.319 -2.208 6.450
O 1.701 -3.993 5.517
O 0.776 -2.880 15.456
O 4.353 1.268 12.185
O -1.875 -8.141 8.788
O 0.518 -8.000 11.546
O -2.337 0.923 4.471
O -5.926 -3.219 7.753
O 4.107 -3.858 8.264
O -1.213 0.293 1.102
O -2.999 -7.483 12.154
O -0.894 -2.550 10.126
O -3.318 -4.640 3.131
O 5.797 -0.815 11.751
O -2.595 -6.024 10.057
O -1.889 -0.345 9.211
O 5.090 -6.494 12.597
O -1.622 -1.186 3.178
O -0.949 -5.927 11.973
O -0.218 -0.261 11.106
O -2.352 -6.852 4.044
```

Record 2
TaNiP: relaxed, GGA-PBE.

Results
The value obtained for the density is 11.52 g/cm³. The formation energy comes out at -0.756 eV per atom.

Cell and atoms, written as extended XYZ:
```
12
Lattice="-1.506 -1.510 -2.888 5.533 -0.820 -2.457 0.435 -6.385 3.111" Properties=species:S:1:pos:R:3 pbc="T T T"
Ta 0.116 -5.714 1.811
Ta 2.811 -5.066 0.067
Ta 4.346 -3.001 -4.045
Ta 1.651 -3.648 -2.301
Ni 0.625 -3.261 0.263
Ni 3.233 -1.337 -2.103
Ni 3.837 -5.453 -2.497
Ni 1.229 -7.378 -0.131
P 1.222 -1.404 -1.019
P 4.097 -3.411 -1.470
P 3.241 -7.310 -1.216
P 0.365 -5.304 -0.765
```

Record 3
Er5BiPt2: relaxed, GGA-PBE.

Results
The value obtained for the density is 11.57 g/cm³. The formation energy comes out at -0.932 eV per atom.

Cell and atoms, written as extended XYZ:
```
16
Lattice="-4.381 3.247 6.843 -0.410 8.516 -1.968 -2.357 -6.722 -5.082" Properties=species:S:1:pos:R:3 pbc="T T T"
Er 0.000 0.000 0.000
Er -2.396 5.881 2.437
Er -5.500 -0.402 0.719
Er -2.653 1.674 -1.492
Er -5.798 6.561 2.608
Er -4.496 3.367 1.284
Er -1.351 -1.520 -2.815
Er -4.198 -3.596 -0.605
Er -1.649 5.443 -0.926
Er -2.951 8.637 0.397
Bi -1.198 2.941 1.219
Bi -3.594 8.822 3.656
Pt -4.442 4.378 4.054
Pt -2.817 -1.004 -0.346
Pt -4.332 6.045 0.139
Pt -2.707 0.663 -4.261
```

Record 4
CrSb2: relaxed, GGA-PBE.

Results
The value obtained for the density is 6.90 g/cm³. The formation energy comes out at -0.035 eV per atom.

Cell and atoms, written as extended XYZ:
```
6
Lattice="3.433 0.000 0.000 0.000 6.004 0.000 0.000 0.000 6.903" Properties=species:S:1:pos:R:3 pbc="T T T"
Cr 0.000 0.000 0.000
Cr 1.716 3.002 3.452
Sb 0.000 4.911 4.403
Sb 1.716 4.094 0.952
Sb 0.000 1.092 2.500
Sb 1.716 1.909 5.951
```

Record 5
CsO2: relaxed, GGA-PBE.

Results
The value obtained for the density is 3.73 g/cm³. The formation energy comes out at -0.980 eV per atom.

Cell and atoms, written as extended XYZ:
```
3
Lattice="-2.231 2.231 3.686 2.231 -2.231 3.686 2.231 2.231 -3.686" Properties=species:S:1:pos:R:3 pbc="T T T"
Cs 0.000 0.000 0.000
O 0.000 0.000 4.361
O 0.000 0.000 3.010
```

Record 6
Ge2Br7N3: relaxed, GGA-PBE.

Results
The value obtained for the density is 2.45 g/cm³. The magnetic moment is 8.00 μB/cell. The formation energy comes out at 0.813 eV per atom.

Cell and atoms, written as extended XYZ:
```
48
Lattice="12.221 0.000 0.000 0.000 11.240 0.000 0.000 2.827 14.720" Properties=species:S:1:pos:R:3 pbc="T T T"
Ge 6.407 6.190 13.916
Ge 0.296 9.291 8.163
Ge 5.815 7.878 0.803
Ge 11.925 4.776 6.556
Ge 6.315 10.296 9.135
Ge 0.204 5.185 12.944
Ge 5.906 3.771 5.585
Ge 12.017 8.882 1.775
Br 5.316 11.720 13.463
Br 11.426 3.761 8.616
Br 6.905 2.347 1.256
Br 0.795 10.306 6.104
Br 6.043 4.507 12.297
Br 12.153 10.974 9.783
Br 6.178 9.560 2.423
Br 0.068 3.094 4.937
Br 4.446 7.496 14.078
Br 10.557 7.985 8.001
Br 7.775 6.572 0.642
Br 1.664 6.082 6.718
Br 7.101 8.359 10.107
Br 0.990 7.122 11.972
Br 5.120 5.708 4.612
Br 11.231 6.945 2.748
Br 6.866 10.363 6.899
Br 0.755 2.291 0.461
Br 5.355 3.704 7.821
Br 11.466 11.777 14.259
Br 7.296 12.094 10.190
Br 1.185 3.387 11.889
Br 4.925 1.974 4.529
Br 11.036 10.680 2.830
Br 10.126 5.119 12.730
Br 4.015 10.362 9.350
Br 2.095 8.948 1.990
Br 8.206 3.706 5.370
N 8.317 13.487 14.161
N 2.206 1.994 7.919
N 3.905 0.580 0.559
N 10.015 12.074 6.801
N 10.010 3.707 2.023
N 3.899 8.947 5.337
N 2.211 10.360 12.697
N 8.322 5.121 9.383
N 8.433 7.769 4.809
N 2.322 4.885 2.551
N 3.788 6.298 9.910
N 9.899 9.182 12.169
```

Record 7
Na3ZnB5O10: relaxed, GGA-PBE.

Results
The value obtained for the density is 2.57 g/cm³. The magnetic moment is 0.00 μB/cell. The formation energy comes out at -2.623 eV per atom.

Cell and atoms, written as extended XYZ:
```
152
Lattice="7.985 0.000 0.000 0.000 12.383 0.000 0.000 0.000 18.242" Properties=species:S:1:pos:R:3 pbc="T T T"
Na 5.648 7.092 7.838
Na 1.655 11.482 10.405
Na 2.337 0.901 1.283
Na 6.329 5.290 16.959
Na 2.337 5.290 10.405
Na 6.329 0.901 7.838
Na 5.648 11.482 16.959
Na 1.655 7.092 1.283
Na 2.643 1.011 7.687
Na 6.636 5.181 10.555
Na 5.341 7.202 1.434
Na 1.349 11.372 16.808
Na 5.341 11.372 10.555
Na 1.349 7.202 7.687
Na 2.643 5.181 16.808
Na 6.636 1.011 1.434
Na 2.477 4.299 4.477
Na 6.469 1.892 13.766
Na 5.508 10.491 4.645
Na 1.516 8.084 13.598
Na 5.508 8.084 13.766
Na 1.516 10.491 4.477
Na 2.477 1.892 13.598
Na 6.469 4.299 4.645
Zn 4.601 4.005 7.358
Zn 0.609 2.186 10.885
Zn 3.384 10.197 1.764
Zn 7.376 8.377 16.479
Zn 3.384 8.377 10.885
Zn 7.376 10.197 7.358
Zn 4.601 2.186 16.479
Zn 0.609 4.005 1.764
B 7.348 4.247 7.746
B 3.355 1.945 10.496
B 0.637 10.438 1.375
B 4.629 8.136 16.868
B 0.637 8.136 10.496
B 4.629 10.438 7.746
B 7.348 1.945 16.868
B 3.355 4.247 1.375
B 1.816 4.059 7.790
B 5.808 2.132 10.452
B 6.169 10.251 1.331
B 2.177 8.324 16.911
B 6.169 8.324 10.452
B 2.177 10.251 7.790
B 1.816 2.132 16.911
B 5.808 4.059 1.331
B 0.505 2.636 6.137
B 4.497 3.555 12.106
B 7.480 8.828 2.985
B 3.487 9.746 15.258
B 7.480 9.746 12.106
B 3.487 8.828 6.137
B 0.505 3.555 15.258
B 4.497 2.636 2.985
B 4.432 1.865 5.420
B 0.440 4.327 12.823
B 3.552 8.056 3.701
B 7.544 10.518 14.541
B 3.552 10.518 12.823
B 7.544 8.056 5.420
B 4.432 4.327 14.541
B 0.440 1.865 3.701
B 4.070 6.458 5.499
B 0.077 12.116 12.744
B 3.915 0.267 3.623
B 7.907 5.925 14.620
B 3.915 5.925 12.744
B 7.907 0.267 5.499
B 4.070 12.116 14.620
B 0.077 6.458 3.623
O 4.585 2.102 6.740
O 0.592 4.089 11.502
O 3.400 8.293 2.381
O 7.392 10.281 15.862
O 3.400 10.281 11.502
O 7.392 8.293 6.740
O 4.585 4.089 15.862
O 0.592 2.102 2.381
O 1.754 3.141 6.748
O 5.746 3.050 11.495
O 6.231 9.333 2.373
O 2.238 9.242 15.869
O 6.231 9.242 11.495
O 2.238 9.333 6.748
O 1.754 3.050 15.869
O 5.746 3.141 2.373
O 6.213 4.727 8.303
O 2.221 1.465 9.939
O 1.772 10.918 0.818
O 5.764 7.656 17.424
O 1.772 7.656 9.939
O 5.764 10.918 8.303
O 6.213 1.465 17.424
O 2.221 4.727 0.818
O 2.968 4.437 8.364
O 6.960 1.754 9.878
O 5.017 10.629 0.757
O 1.025 7.946 17.486
O 5.017 7.946 9.878
O 1.025 10.629 8.364
O 2.968 1.754 17.486
O 6.960 4.437 0.757
O 4.596 5.273 5.813
O 0.604 0.918 12.429
O 3.388 11.464 3.308
O 7.381 7.110 14.934
O 3.388 7.110 12.429
O 7.381 11.464 5.813
O 4.596 0.918 14.934
O 0.604 5.273 3.308
O 4.581 2.837 4.443
O 0.588 3.355 13.799
O 3.404 9.028 4.678
O 7.396 9.546 13.564
O 3.404 9.546 13.799
O 7.396 9.028 4.443
O 4.581 3.355 13.564
O 0.588 2.837 4.678
O 3.648 7.385 6.456
O 7.641 11.189 11.787
O 4.336 1.194 2.666
O 0.344 4.998 15.577
O 4.336 4.998 11.787
O 0.344 1.194 6.456
O 3.648 11.189 15.577
O 7.641 7.385 2.666
O 3.914 6.759 4.121
O 7.906 11.816 14.121
O 4.070 0.567 5.000
O 0.078 5.624 13.242
O 4.070 5.624 14.121
O 0.078 0.567 4.121
O 3.914 11.816 13.242
O 7.906 6.759 5.000
O 7.323 3.381 6.665
O 3.331 2.810 11.578
O 0.661 9.573 2.457
O 4.654 9.001 15.786
O 0.661 9.001 11.578
O 4.654 9.573 6.665
O 7.323 2.810 15.786
O 3.331 3.381 2.457
O 0.617 4.664 8.253
O 4.609 1.527 9.990
O 7.368 10.855 0.869
O 3.375 7.719 17.374
O 7.368 7.719 9.990
O 3.375 10.855 8.253
O 0.617 1.527 17.374
O 4.609 4.664 0.869
```

Record 8
PtBr3N2: relaxed, GGA-PBE.

Results
The value obtained for the density is 4.13 g/cm³. The magnetic moment is 1.00 μB/cell. The formation energy comes out at 1.067 eV per atom.

Cell and atoms, written as extended XYZ:
```
6
Lattice="-1.570 -4.543 -4.106 -1.612 -3.044 5.300 -2.752 5.451 -1.636" Properties=species:S:1:pos:R:3 pbc="T T T"
Pt -0.367 0.202 0.308
Br -1.164 -2.232 0.523
Br -2.388 -5.150 0.983
Br -2.066 1.140 1.735
N -2.357 -2.955 3.882
N -4.793 -2.443 0.645
```